No. 1
# GGA-PBE Nb24Ge7Te48, optimized geometry
data_Nb24Ge7Te48
_cell_length_a 13.1048
_cell_length_b 28.8676
_cell_length_c 13.3553
_cell_angle_alpha 90.00
_cell_angle_beta 119.12
_cell_angle_gamma 90.00
_symmetry_space_group_name_H-M 'C 1 m 1'
_symmetry_Int_Tables_number 8
_symmetry_space_group_name_Hall 'C -2y'
loop_
_atom_site_label
_atom_site_type_symbol
_atom_site_fract_x
_atom_site_fract_y
_atom_site_fract_z
_atom_site_occupancy
Nb1 Nb 0.0000 0.0000 0.0000 1
Nb2 Nb 0.0053 0.5000 0.0011 1
Nb3 Nb 0.1342 0.2501 0.6351 1
Nb4 Nb 0.1375 0.0000 0.4804 1
Nb5 Nb 0.1477 0.5000 0.4825 1
Nb6 Nb 0.1647 0.2501 0.1999 1
Nb7 Nb 0.1710 0.0000 0.8333 1
Nb8 Nb 0.1728 0.2500 0.9815 1
Nb9 Nb 0.1871 0.5000 0.8408 1
Nb10 Nb 0.3177 0.0000 0.3546 1
Nb11 Nb 0.3249 0.5000 0.3545 1
Nb12 Nb 0.3297 0.2501 0.5019 1
Nb13 Nb 0.3324 0.5000 0.1350 1
Nb14 Nb 0.3330 0.0000 0.1375 1
Nb15 Nb 0.3590 0.0000 0.6920 1
Nb16 Nb 0.3585 0.2501 0.8534 1
Nb17 Nb 0.3688 0.5000 0.7035 1
Nb18 Nb 0.4947 0.2499 0.3326 1
Ge1 Ge 0.0001 0.0000 0.5923 1
Ge2 Ge 0.0737 0.0000 0.2409 1
Ge3 Ge 0.0747 0.5000 0.2418 1
Ge4 Ge 0.4230 0.2499 0.0920 1
Ge5 Ge 0.4979 0.2501 0.7422 1
Te1 Te 0.0206 0.0659 0.8505 1
Te2 Te 0.0221 0.4362 0.8447 1
Te3 Te 0.0275 0.1845 0.0090 1
Te4 Te 0.0270 0.3156 0.0084 1
Te5 Te 0.1618 0.1843 0.3508 1
Te6 Te 0.1615 0.3161 0.3508 1
Te7 Te 0.1787 0.4401 0.6692 1
Te8 Te 0.1798 0.0636 0.1603 1
Te9 Te 0.1803 0.4362 0.1611 1
Te10 Te 0.1842 0.0639 0.6713 1
Te11 Te 0.1850 0.3157 0.8253 1
Te12 Te 0.1856 0.1844 0.8260 1
Te13 Te 0.3122 0.3141 0.6624 1
Te14 Te 0.3130 0.1861 0.6627 1
Te15 Te 0.3151 0.0642 0.5089 1
Te16 Te 0.3172 0.1863 0.1728 1
Te17 Te 0.3174 0.3137 0.1726 1
Te18 Te 0.3169 0.4337 0.5119 1
Te19 Te 0.3387 0.0652 0.9852 1
Te20 Te 0.3408 0.4320 0.9883 1
Te21 Te 0.4704 0.4345 0.3264 1
Te22 Te 0.4718 0.0643 0.3341 1
Te23 Te 0.4788 0.1842 0.4847 1
Te24 Te 0.4791 0.3158 0.4843 1
# E_form, eV/atom: -0.707
# E_tot, eV per atom: -5.84
# E (MP2020), eV/atom: -6.10



No. 2
# GGA-PBE Na5Sc4P5SO24, optimized geometry
data_Na5Sc4P5SO24
_cell_length_a 8.9730
_cell_length_b 8.9988
_cell_length_c 22.8432
_cell_angle_alpha 90.07
_cell_angle_beta 90.04
_cell_angle_gamma 119.90
_symmetry_space_group_name_H-M 'P 1'
_symmetry_Int_Tables_number 1
_symmetry_space_group_name_Hall 'P 1'
loop_
_atom_site_label
_atom_site_type_symbol
_atom_site_fract_x
_atom_site_fract_y
_atom_site_fract_z
_atom_site_occupancy
Na1 Na 0.0000 0.0000 0.0000 1
Na2 Na 0.9999 0.2743 0.4989 1
Na3 Na 0.0117 0.6333 0.7482 1
Na4 Na 0.0336 0.9728 0.3312 1
Na5 Na 0.3044 0.6112 0.3316 1
Na6 Na 0.3121 0.9718 0.8310 1
Na7 Na 0.3563 0.3227 0.9138 1
Na8 Na 0.3595 0.3182 0.4149 1
Na9 Na 0.3651 0.6377 0.9978 1
Na10 Na 0.3668 0.0028 0.4976 1
Na11 Na 0.6595 0.9657 0.0829 1
Na12 Na 0.6703 0.9565 0.5818 1
Na13 Na 0.7021 0.3024 0.6636 1
Na14 Na 0.9780 0.3059 0.1647 1
Na15 Na 0.9990 0.6455 0.2472 1
Sc1 Sc 0.0069 0.6489 0.0992 1
Sc2 Sc 0.0135 0.6470 0.5996 1
Sc3 Sc 0.3307 0.3122 0.7662 1
Sc4 Sc 0.3327 0.3045 0.5642 1
Sc5 Sc 0.3366 0.3035 0.2657 1
Sc6 Sc 0.3395 0.3077 0.0638 1
Sc7 Sc 0.6635 0.9773 0.9325 1
Sc8 Sc 0.6638 0.9620 0.2304 1
Sc9 Sc 0.6647 0.9739 0.7302 1
Sc10 Sc 0.6687 0.9683 0.4320 1
Sc11 Sc 0.9930 0.6314 0.3977 1
Sc12 Sc 0.9941 0.6238 0.8970 1
P1 P 0.0006 0.3431 0.0006 1
P2 P 0.0012 0.9315 0.4978 1
P3 P 0.0388 0.3044 0.6639 1
P4 P 0.0410 0.0106 0.1648 1
P5 P 0.2945 0.9330 0.9963 1
P6 P 0.2981 0.6387 0.4968 1
P7 P 0.3338 0.0121 0.6661 1
P8 P 0.3358 0.6006 0.1647 1
P9 P 0.3754 0.9732 0.3328 1
P10 P 0.3757 0.6783 0.8327 1
P11 P 0.6684 0.2682 0.8295 1
P12 P 0.6687 0.6774 0.3313 1
P13 P 0.7074 0.3449 0.5003 1
P14 P 0.7097 0.6392 0.9977 1
P15 P 0.9621 0.2669 0.3303 1
S1 S 0.6288 0.5998 0.6650 1
S2 S 0.6305 0.3056 0.1649 1
S3 S 0.9622 0.9712 0.8319 1
O1 O 0.0111 0.4617 0.6602 1
O2 O 0.0197 0.8306 0.1599 1
O3 O 0.0322 0.8533 0.4417 1
O4 O 0.0337 0.4612 0.9472 1
O5 O 0.1223 0.2842 0.6074 1
O6 O 0.1285 0.1229 0.1100 1
O7 O 0.1392 0.1261 0.8268 1
O8 O 0.1447 0.2840 0.3258 1
O9 O 0.1496 0.0968 0.2205 1
O10 O 0.1541 0.3291 0.7172 1
O11 O 0.1665 0.1125 0.5040 1
O12 O 0.1656 0.6066 0.1600 1
O13 O 0.1665 0.3268 0.0046 1
O14 O 0.1738 0.8333 0.6604 1
O15 O 0.1850 0.8538 0.9406 1
O16 O 0.1878 0.6084 0.4409 1
O17 O 0.1936 0.8095 0.3368 1
O18 O 0.1988 0.6711 0.8367 1
O19 O 0.2086 0.8147 0.0498 1
O20 O 0.2097 0.6685 0.5501 1
O21 O 0.3086 0.1103 0.0048 1
O22 O 0.3104 0.4740 0.5043 1
O23 O 0.3108 0.4882 0.2196 1
O24 O 0.3160 0.1007 0.7214 1
O25 O 0.3491 0.1301 0.3260 1
O26 O 0.3547 0.4986 0.8258 1
O27 O 0.3584 0.5144 0.1091 1
O28 O 0.3647 0.1256 0.6109 1
O29 O 0.4645 0.9436 0.2799 1
O30 O 0.4679 0.7966 0.7798 1
O31 O 0.4735 0.9455 0.9921 1
O32 O 0.4751 0.8042 0.4924 1
O33 O 0.4790 0.9971 0.3895 1
O34 O 0.4807 0.7594 0.8893 1
O35 O 0.4942 0.7810 0.1697 1
O36 O 0.4994 0.2760 0.8251 1
O37 O 0.5010 0.9988 0.6703 1
O38 O 0.5044 0.5002 0.3244 1
O39 O 0.5227 0.3173 0.5045 1
O40 O 0.5238 0.5191 0.6119 1
O41 O 0.5255 0.4830 0.0037 1
O42 O 0.5264 0.2832 0.1120 1
O43 O 0.5473 0.4902 0.7173 1
O44 O 0.5486 0.3278 0.2176 1
O45 O 0.6363 0.7609 0.3853 1
O46 O 0.6407 0.1498 0.8828 1
O47 O 0.6499 0.7722 0.6714 1
O48 O 0.6528 0.1523 0.1697 1
O49 O 0.6919 0.1650 0.4936 1
O50 O 0.6931 0.1856 0.7735 1
O51 O 0.6926 0.8032 0.9921 1
O52 O 0.7011 0.7932 0.2773 1
O53 O 0.7953 0.4560 0.4461 1
O54 O 0.7951 0.6146 0.9431 1
O55 O 0.8002 0.6103 0.6595 1
O56 O 0.8060 0.4590 0.1602 1
O57 O 0.8172 0.4261 0.5557 1
O58 O 0.8243 0.6695 0.0518 1
O59 O 0.8281 0.4469 0.8360 1
O60 O 0.8348 0.6662 0.3374 1
O61 O 0.8458 0.9614 0.4930 1
O62 O 0.8466 0.1592 0.9922 1
O63 O 0.8554 0.1819 0.2749 1
O64 O 0.8562 0.9513 0.7800 1
O65 O 0.8576 0.1427 0.6699 1
O66 O 0.8650 0.0052 0.1695 1
O67 O 0.8803 0.1553 0.3856 1
O68 O 0.8844 0.9939 0.8864 1
O69 O 0.9753 0.4231 0.0566 1
O70 O 0.9783 0.8195 0.5513 1
O71 O 0.9865 0.8188 0.8359 1
O72 O 0.9906 0.4508 0.3360 1
# E_form, eV/atom: -2.994
# E_tot, eV per atom: -7.24
# E (MP2020), eV/atom: -7.66



No. 3
# GGA-PBE U3O10, optimized geometry
data_U3O10
_cell_length_a 6.9796
_cell_length_b 19.1041
_cell_length_c 7.3555
_cell_angle_alpha 90.00
_cell_angle_beta 120.34
_cell_angle_gamma 90.00
_symmetry_space_group_name_H-M 'P 1 21/c 1'
_symmetry_Int_Tables_number 14
_symmetry_space_group_name_Hall '-P 2ybc'
loop_
_atom_site_label
_atom_site_type_symbol
_atom_site_fract_x
_atom_site_fract_y
_atom_site_fract_z
_atom_site_occupancy
U1 U 0.2193 0.1566 0.2609 1
U2 U 0.2552 0.5332 0.7481 1
U3 U 0.2749 0.7441 0.2365 1
O1 O 0.0362 0.0612 0.0991 1
O2 O 0.0579 0.7422 0.3810 1
O3 O 0.0766 0.5528 0.8528 1
O4 O 0.1940 0.1668 0.4946 1
O5 O 0.2448 0.1663 0.0272 1
O6 O 0.2736 0.6578 0.7191 1
O7 O 0.2780 0.6494 0.2629 1
O8 O 0.4318 0.0655 0.4234 1
O9 O 0.4379 0.5279 0.6417 1
O10 O 0.4888 0.7333 0.0911 1
# E_form, eV/atom: -3.145
# E_tot, eV per atom: -9.03
# E (MP2020), eV/atom: -9.56



No. 4
# GGA-PBE MgFeCu2SnS4, optimized geometry
data_MgFeCu2SnS4
_cell_length_a 5.7816
_cell_length_b 5.7858
_cell_length_c 5.8451
_cell_angle_alpha 90.00
_cell_angle_beta 90.00
_cell_angle_gamma 90.00
_symmetry_space_group_name_H-M 'P 2 2 2'
_symmetry_Int_Tables_number 16
_symmetry_space_group_name_Hall 'P 2 2'
loop_
_atom_site_label
_atom_site_type_symbol
_atom_site_fract_x
_atom_site_fract_y
_atom_site_fract_z
_atom_site_occupancy
Mg1 Mg 0.0000 0.0000 0.0000 1
Fe1 Fe 0.0000 0.5000 0.0000 1
Cu1 Cu 0.0000 0.0000 0.5000 1
Cu2 Cu 0.5000 0.0000 0.0000 1
Sn1 Sn 0.5000 0.5000 0.5000 1
S1 S 0.2298 0.2405 0.2296 1
# E_form, eV/atom: -0.535
# E_tot, eV per atom: -4.62
# E (MP2020), eV/atom: -4.85



No. 5
# GGA-PBE DySiPt2, optimized geometry
data_DySiPt2
_cell_length_a 7.3603
_cell_length_b 6.9650
_cell_length_c 5.5550
_cell_angle_alpha 90.00
_cell_angle_beta 90.00
_cell_angle_gamma 90.00
_symmetry_space_group_name_H-M 'P n m a'
_symmetry_Int_Tables_number 62
_symmetry_space_group_name_Hall '-P 2ac 2n'
loop_
_atom_site_label
_atom_site_type_symbol
_atom_site_fract_x
_atom_site_fract_y
_atom_site_fract_z
_atom_site_occupancy
Dy1 Dy 0.0278 0.2500 0.1377 1
Si1 Si 0.1197 0.7500 0.3612 1
Pt1 Pt 0.1812 0.0506 0.5919 1
# E_form, eV/atom: -1.164
# E_tot, eV per atom: -6.71



No. 6
# GGA-PBE LiF, optimized geometry
data_LiF
_cell_length_a 4.0834
_cell_length_b 4.0834
_cell_length_c 4.0834
_cell_angle_alpha 90.00
_cell_angle_beta 90.00
_cell_angle_gamma 90.00
_symmetry_space_group_name_H-M 'F m -3 m'
_symmetry_Int_Tables_number 225
_symmetry_space_group_name_Hall '-F 4 2 3'
loop_
_atom_site_label
_atom_site_type_symbol
_atom_site_fract_x
_atom_site_fract_y
_atom_site_fract_z
_atom_site_occupancy
Li1 Li 0.0000 0.0000 0.0000 1
F1 F 0.0000 0.0000 0.5000 1
# E_form, eV/atom: -3.164
# E_tot, eV per atom: -4.85
# E (MP2020), eV/atom: -5.08



No. 7
# GGA-PBE Na11Ru16O36, optimized geometry
data_Na11Ru16O36
_cell_length_a 5.7312
_cell_length_b 11.5509
_cell_length_c 11.9749
_cell_angle_alpha 73.81
_cell_angle_beta 83.22
_cell_angle_gamma 75.66
_symmetry_space_group_name_H-M 'P 1'
_symmetry_Int_Tables_number 1
_symmetry_space_group_name_Hall 'P 1'
loop_
_atom_site_label
_atom_site_type_symbol
_atom_site_fract_x
_atom_site_fract_y
_atom_site_fract_z
_atom_site_occupancy
Na1 Na 0.0000 0.0000 0.0000 1
Na2 Na 0.0009 0.5152 0.9831 1
Na3 Na 0.0415 0.7000 0.4406 1
Na4 Na 0.0505 0.1939 0.4174 1
Na5 Na 0.1535 0.4071 0.5714 1
Na6 Na 0.3884 0.7901 0.8518 1
Na7 Na 0.5060 0.9965 0.0034 1
Na8 Na 0.5112 0.4885 0.9833 1
Na9 Na 0.5349 0.7074 0.4445 1
Na10 Na 0.5489 0.1930 0.4169 1
Na11 Na 0.6566 0.4078 0.5640 1
Ru1 Ru 0.0031 0.5976 0.7133 1
Ru2 Ru 0.1169 0.7308 0.1678 1
Ru3 Ru 0.1250 0.9089 0.5953 1
Ru4 Ru 0.1933 0.9736 0.2872 1
Ru5 Ru 0.3008 0.0983 0.7098 1
Ru6 Ru 0.3569 0.2215 0.1380 1
Ru7 Ru 0.3873 0.2897 0.8304 1
Ru8 Ru 0.4335 0.4630 0.2611 1
Ru9 Ru 0.5499 0.5966 0.7108 1
Ru10 Ru 0.5746 0.7262 0.1713 1
Ru11 Ru 0.6731 0.9083 0.5925 1
Ru12 Ru 0.6950 0.9720 0.2839 1
Ru13 Ru 0.7504 0.1023 0.7111 1
Ru14 Ru 0.8541 0.2232 0.1402 1
Ru15 Ru 0.9133 0.2833 0.8321 1
Ru16 Ru 0.9762 0.4671 0.2582 1
O1 O 0.0111 0.8733 0.2368 1
O2 O 0.0482 0.3203 0.1916 1
O3 O 0.0767 0.9791 0.7463 1
O4 O 0.0904 0.4178 0.7735 1
O5 O 0.1702 0.0969 0.1222 1
O6 O 0.1975 0.5581 0.1340 1
O7 O 0.1998 0.8716 0.4448 1
O8 O 0.2126 0.3808 0.3851 1
O9 O 0.2200 0.1430 0.8680 1
O10 O 0.2476 0.6092 0.8169 1
O11 O 0.3114 0.5783 0.6052 1
O12 O 0.3378 0.3236 0.9810 1
O13 O 0.3379 0.8117 0.0441 1
O14 O 0.3460 0.0323 0.5621 1
O15 O 0.3533 0.6352 0.2953 1
O16 O 0.3795 0.0987 0.3033 1
O17 O 0.4523 0.7867 0.6479 1
O18 O 0.4610 0.2456 0.6643 1
O19 O 0.5014 0.8714 0.2380 1
O20 O 0.5381 0.3222 0.1891 1
O21 O 0.5905 0.9562 0.7539 1
O22 O 0.6121 0.4097 0.7712 1
O23 O 0.6754 0.0963 0.1200 1
O24 O 0.6865 0.5466 0.1513 1
O25 O 0.7019 0.1552 0.8660 1
O26 O 0.7132 0.3970 0.3674 1
O27 O 0.7126 0.8721 0.4416 1
O28 O 0.7293 0.6133 0.8362 1
O29 O 0.8184 0.5758 0.5858 1
O30 O 0.8312 0.0576 0.5548 1
O31 O 0.8354 0.7945 0.0683 1
O32 O 0.8512 0.3202 0.9822 1
O33 O 0.8646 0.6457 0.2793 1
O34 O 0.8739 0.0994 0.3027 1
O35 O 0.9464 0.7739 0.6502 1
O36 O 0.9720 0.2266 0.6748 1
# E_form, eV/atom: -1.536
# E_tot, eV per atom: -6.56
# E (MP2020), eV/atom: -6.95



No. 8
# GGA-PBE Mn2TeSe, optimized geometry
data_Mn2TeSe
_cell_length_a 3.9181
_cell_length_b 3.9181
_cell_length_c 19.4369
_cell_angle_alpha 90.00
_cell_angle_beta 90.00
_cell_angle_gamma 120.00
_symmetry_space_group_name_H-M 'R -3 m'
_symmetry_Int_Tables_number 166
_symmetry_space_group_name_Hall '-R 3 2"'
loop_
_atom_site_label
_atom_site_type_symbol
_atom_site_fract_x
_atom_site_fract_y
_atom_site_fract_z
_atom_site_occupancy
Mn1 Mn 0.0000 0.0000 0.2427 1
Te1 Te 0.0000 0.0000 0.0000 1
Se1 Se 0.0000 0.0000 0.5000 1
# E_form, eV/atom: -0.299
# E_tot, eV per atom: -6.42
# E (MP2020), eV/atom: -6.54



No. 9
# GGA-PBE Na5Cu3P4O16, optimized geometry
data_Na5Cu3P4O16
_cell_length_a 5.1533
_cell_length_b 8.5018
_cell_length_c 9.1929
_cell_angle_alpha 63.87
_cell_angle_beta 89.51
_cell_angle_gamma 73.86
_symmetry_space_group_name_H-M 'P -1'
_symmetry_Int_Tables_number 2
_symmetry_space_group_name_Hall '-P 1'
loop_
_atom_site_label
_atom_site_type_symbol
_atom_site_fract_x
_atom_site_fract_y
_atom_site_fract_z
_atom_site_occupancy
Na1 Na 0.0000 0.0000 0.0000 1
Na2 Na 0.2877 0.4636 0.2557 1
Na3 Na 0.3355 0.3525 0.6356 1
Cu1 Cu 0.1519 0.7503 0.7927 1
Cu2 Cu 0.5000 0.0000 0.5000 1
P1 P 0.0707 0.8166 0.4312 1
P2 P 0.2778 0.3058 0.9766 1
O1 O 0.0283 0.6949 0.0042 1
O2 O 0.0276 0.9899 0.2660 1
O3 O 0.2024 0.2010 0.4972 1
O4 O 0.2030 0.6442 0.4091 1
O5 O 0.2615 0.4995 0.8249 1
O6 O 0.2628 0.8257 0.5616 1
O7 O 0.4129 0.1743 0.9071 1
O8 O 0.4177 0.2728 0.1369 1
# E_form, eV/atom: -2.215
# E_tot, eV per atom: -6.10
# E (MP2020), eV/atom: -6.49